Compound: Fe3CuP4O16
Source: the Materials Project
Functional: PBE+U
Structure: relaxed

Calculated values
- DFT total energy (eV per atom) = -6.8707
- size of the total moment (μB per formula unit) = 15.0

a = 4.851 Å, b = 5.911 Å, c = 9.919 Å
α = 90.00°, β = 90.03°, γ = 90.00°
Space group Pm (No. 6)
Symmetry-distinct sites (fractional):
Fe1 0.000 0.000 0.000
Fe2 0.060 0.500 0.455
Fe3 0.497 0.500 0.953
Cu1 0.574 0.000 0.503
P1 0.106 0.000 0.325
P2 0.448 0.000 0.819
P3 0.612 0.500 0.630
P4 0.948 0.500 0.132
O1 0.182 0.000 0.175
O2 0.247 0.204 0.400
O3 0.260 0.500 0.111
O4 0.300 0.500 0.611
O5 0.304 0.202 0.898
O6 0.368 0.000 0.671
O7 0.683 0.500 0.781
O8 0.760 0.000 0.843
O9 0.762 0.299 0.555
O10 0.791 0.000 0.339
O11 0.803 0.297 0.056
O12 0.874 0.500 0.281



Compound: Fe14Cu7P18O72
Source: the Materials Project
Functional: PBE+U
Structure: relaxed

Calculated values
- DFT total energy (eV per atom) = -6.8819
- size of the total moment (μB per formula unit) = 67.0

a = 9.892 Å, b = 11.131 Å, c = 12.870 Å
α = 70.88°, β = 72.27°, γ = 78.71°
Space group P-1 (No. 2)
Symmetry-distinct sites (fractional):
Fe1 0.016 0.033 0.368
Fe2 0.098 0.123 0.927
Fe3 0.236 0.544 0.740
Fe4 0.318 0.633 0.299
Fe5 0.333 0.167 0.166
Fe6 0.349 0.699 0.035
Fe7 0.431 0.789 0.594
Cu1 0.000 0.500 0.500
Cu2 0.111 0.192 0.659
Cu3 0.221 0.475 0.007
Cu4 0.446 0.858 0.326
P1 0.000 0.272 0.129
P2 0.051 0.597 0.221
P3 0.157 0.742 0.509
P4 0.174 0.921 0.158
P5 0.283 0.070 0.446
P6 0.333 0.939 0.796
P7 0.334 0.394 0.538
P8 0.384 0.264 0.887
P9 0.492 0.412 0.176
O1 0.003 0.220 0.032
O2 0.028 0.831 0.755
O3 0.038 0.266 0.793
O4 0.047 0.504 0.750
O5 0.055 0.649 0.525
O6 0.061 0.908 0.276
O7 0.077 0.880 0.507
O8 0.092 0.959 0.063
O9 0.124 0.619 0.868
O10 0.125 0.574 0.318
O11 0.148 0.317 0.112
O12 0.166 0.598 0.106
O13 0.167 0.069 0.561
O14 0.188 0.347 0.556
O15 0.208 0.093 0.349
O16 0.209 0.048 0.798
O17 0.240 0.706 0.603
O18 0.255 0.784 0.160
O19 0.270 0.758 0.390
O20 0.275 0.015 0.142
O21 0.286 0.162 0.917
O22 0.295 0.400 0.874
O23 0.306 0.835 0.912
O24 0.331 0.447 0.635
O25 0.336 0.887 0.698
O26 0.360 0.498 0.422
O27 0.371 0.933 0.460
O28 0.380 0.171 0.416
O29 0.391 0.318 0.192
O30 0.395 0.574 0.943
O31 0.411 0.549 0.173
O32 0.425 0.625 0.730
O33 0.458 0.241 0.985
O34 0.459 0.285 0.535
O35 0.481 0.984 0.778
O36 0.500 0.264 0.772



Compound: FeCuPO5
Source: the Materials Project
Functional: PBE+U
Structure: relaxed

Calculated values
- DFT total energy (eV per atom) = -6.5821
- size of the total moment (μB per formula unit) = 6.0

a = 7.684 Å, b = 6.482 Å, c = 7.214 Å
α = 90.00°, β = 90.00°, γ = 90.00°
Space group Pnma (No. 62)
Symmetry-distinct sites (fractional):
Fe1 0.168 0.250 0.216
Cu1 0.000 0.000 0.500
P1 0.110 0.750 0.130
O1 0.065 0.250 0.971
O2 0.083 0.750 0.631
O3 0.126 0.557 0.259
O4 0.234 0.250 0.496



Compound: RbFeCuP2O8
Source: the Materials Project
Functional: PBE+U
Structure: relaxed

Calculated values
- DFT total energy (eV per atom) = -6.6071
- size of the total moment (μB per formula unit) = 6.0

a = 8.268 Å, b = 10.051 Å, c = 9.334 Å
α = 90.00°, β = 116.78°, γ = 90.00°
Space group P2_1/c (No. 14)
Symmetry-distinct sites (fractional):
Rb1 0.158 0.134 0.076
Fe1 0.227 0.624 0.245
Cu1 0.426 0.118 0.559
P1 0.122 0.589 0.859
P2 0.494 0.159 0.862
O1 0.030 0.509 0.245
O2 0.103 0.710 0.751
O3 0.107 0.632 0.011
O4 0.310 0.522 0.904
O5 0.342 0.611 0.487
O6 0.359 0.239 0.899
O7 0.394 0.038 0.747
O8 0.450 0.742 0.753